24
Lattice="7.0477 0.0000 0.0000 -3.4550 7.6323 0.0000 -0.0056 -4.1724 7.6402" Properties=species:S:1:pos:R:3 comment="CsU2F9 (r²SCAN, optimized geometry)" spacegroup="P1, No. 1" pbc="T T T"
Cs 0.0000 0.0000 0.0000
Cs -1.8191 5.5602 3.7877
U 0.1977 0.4028 7.2444
U 1.5506 2.4884 3.4226
U 3.7341 3.0500 0.2970
U 5.0613 0.9697 4.1225
F -1.0279 -1.4481 7.4187
F -1.8544 4.8288 0.8637
F -0.3816 -0.3509 5.1830
F -1.3107 1.7803 6.3019
F 0.1323 0.8474 2.9172
F -0.6001 2.9375 4.0942
F 0.4989 3.8258 1.8360
F 1.6157 -1.2376 6.7253
F 2.1136 1.7403 1.3504
F 1.2488 1.7196 5.6455
F 2.7783 0.6329 3.5861
F 3.8648 -2.9565 6.9207
F 2.3519 5.0194 0.2754
F 4.9642 -0.8606 3.0963
F 4.0421 -0.2152 5.8603
F 3.0657 3.8557 2.4778
F 3.5975 2.7391 4.6909
F 4.7528 1.8634 2.0377

=====

24
Lattice="7.6314 -3.5225 0.0000 7.6314 3.5225 0.0000 -4.1327 0.0000 7.6573" Properties=species:S:1:pos:R:3 comment="CsU2F9 (r²SCAN, optimized geometry)" spacegroup="Cc, No. 9" pbc="T T T"
Cs 5.5651 2.7194 3.8286
Cs 7.6314 -2.7194 0.0000
U 0.4326 0.6697 7.2784
U 2.4990 -0.6697 3.4498
U 10.6760 0.6600 0.3263
U 8.6097 -0.6600 4.1549
F 1.7952 2.1884 6.3296
F 0.8562 0.7513 2.9404
F 2.9498 1.4811 4.1130
F 3.8294 0.3714 1.8516
F -1.2101 -0.7513 6.7691
F 9.3703 2.2837 1.3876
F 1.7630 -0.3714 5.6803
F 8.2758 1.6291 3.6346
F 4.7023 0.5395 6.9798
F 5.0162 -1.4811 0.2844
F 6.7686 -0.5395 3.1511
F 7.4269 0.3480 5.8969
F 3.8616 -2.1884 2.5009
F 10.3851 0.7985 4.7166
F 9.4932 -0.3480 2.0683
F 6.2095 -1.6291 7.4633
F 12.4515 -0.7985 0.8880
F 7.3039 -2.2837 5.2163

=====

10
Lattice="-3.6310 3.6310 5.1815 3.6310 -3.6310 5.1815 3.6310 3.6310 -5.1815" Properties=species:S:1:pos:R:3 comment="Cs3UF6 (r²SCAN, optimized geometry)" spacegroup="I4/mmm, No. 139" pbc="T T T"
Cs 0.0000 0.0000 0.0000
Cs 3.6310 0.0000 2.5907
Cs 0.0000 3.6310 2.5907
U 0.0000 0.0000 5.1815
F 3.6310 1.4029 0.0000
F 0.0000 0.0000 2.8545
F 1.4029 3.6310 0.0000
F 2.2281 0.0000 5.1815
F 0.0000 0.0000 7.5084
F 0.0000 2.2281 5.1815

=====

8
Lattice="3.9908 2.3041 2.7448 -3.9908 2.3041 2.7448 0.0000 -4.6082 2.7448" Properties=species:S:1:pos:R:3 comment="CsUF6 (r²SCAN, optimized geometry)" spacegroup="R-3, No. 148" pbc="T T T"
Cs 0.0000 0.0000 0.0000
U 0.0000 0.0000 4.1172
F -0.5276 -1.5745 2.8665
F -1.0998 1.2442 2.8665
F -1.6274 -0.3304 5.3679
F 1.6274 0.3304 2.8665
F 1.0998 -1.2442 5.3679
F 0.5276 1.5746 5.3679

=====

18
Lattice="3.0898 -7.3020 0.0000 3.0898 7.3020 0.0000 0.0000 0.0000 7.2379" Properties=species:S:1:pos:R:3 comment="Cs2VF6 (r²SCAN, optimized geometry)" spacegroup="Cmcm, No. 63" pbc="T T T"
Cs 3.0898 6.6247 5.4284
Cs 3.0898 3.3342 1.8095
Cs 3.0898 -3.3342 5.4284
Cs 3.0898 -6.6247 1.8095
V 3.0898 1.6808 5.4284
V 3.0898 -1.6808 1.8095
F 1.7344 1.7270 4.1224
F 1.7344 1.7270 6.7344
F 3.0898 3.5251 5.4284
F 1.7344 -1.7270 0.5035
F 1.7344 -1.7270 3.1155
F 3.0898 0.1110 1.8095
F 3.0898 -0.1110 5.4284
F 4.4452 1.7270 4.1224
F 4.4452 1.7270 6.7344
F 3.0898 -3.5251 1.8095
F 4.4452 -1.7270 0.5035
F 4.4452 -1.7270 3.1155

=====

72
Lattice="10.5685 0.0000 0.0000 0.0000 10.5685 0.0000 0.0000 0.0000 10.5685" Properties=species:S:1:pos:R:3 comment="CsWF7 (r²SCAN, optimized geometry)" spacegroup="Pa-3, No. 205" pbc="T T T"
Cs 0.0000 0.0000 0.0000
Cs 0.0000 0.0000 5.2842
Cs 0.0000 5.2842 0.0000
Cs 0.0000 5.2842 5.2842
Cs 5.2842 0.0000 0.0000
Cs 5.2842 0.0000 5.2842
Cs 5.2842 5.2842 0.0000
Cs 5.2842 5.2842 5.2842
W 2.3617 2.3617 2.3617
W 2.3617 2.9225 7.6460
W 2.9225 7.6460 2.3617
W 2.9225 8.2068 7.6460
W 7.6460 2.3617 2.9225
W 7.6460 2.9225 8.2068
W 8.2068 7.6460 2.9225
W 8.2068 8.2068 8.2068
F 0.7056 1.4429 2.7040
F 0.7056 3.8414 7.9883
F 1.2233 1.4924 8.1254
F 1.2233 3.7918 2.8411
F 1.4429 2.5802 5.9899
F 1.4429 2.7040 0.7056
F 1.4924 7.7273 6.5076
F 1.4924 8.1254 1.2233
F 1.8274 7.1116 8.7411
F 1.8274 8.7411 3.4568
F 2.4431 6.5076 3.7918
F 2.4431 9.3452 9.0760
F 2.5802 5.9899 1.4429
F 2.5802 9.8628 6.7271
F 2.7040 0.7056 1.4429
F 2.7040 4.5786 6.7271
F 2.8411 1.2233 3.7918
F 2.8411 4.0609 9.0760
F 3.4568 1.8274 8.7411
F 3.4568 3.4568 3.4568
F 3.7918 2.4431 6.5076
F 3.7918 2.8411 1.2233
F 3.8414 7.8645 5.9899
F 3.8414 7.9883 0.7056
F 4.0609 6.7767 8.1254
F 4.0609 9.0760 2.8411
F 4.5786 6.7271 2.7040
F 4.5786 9.1256 7.9883
F 5.9899 1.4429 2.5802
F 5.9899 3.8414 7.8645
F 6.5076 1.4924 7.7273
F 6.5076 3.7918 2.4431
F 6.7271 2.5802 9.8628
F 6.7271 2.7040 4.5786
F 6.7767 7.7273 9.3452
F 6.7767 8.1254 4.0609
F 7.1116 7.1116 7.1116
F 7.1116 8.7411 1.8274
F 7.7273 6.5076 1.4924
F 7.7273 9.3452 6.7767
F 7.8645 5.9899 3.8414
F 7.8645 9.8628 9.1256
F 7.9883 0.7056 3.8414
F 7.9883 4.5786 9.1256
F 8.1254 1.2233 1.4924
F 8.1254 4.0609 6.7767
F 8.7411 1.8274 7.1116
F 8.7411 3.4568 1.8274
F 9.0760 2.4431 9.3452
F 9.0760 2.8411 4.0609
F 9.1256 7.8645 9.8628
F 9.1256 7.9883 4.5786
F 9.3452 6.7767 7.7273
F 9.3452 9.0760 2.4431
F 9.8628 6.7271 2.5802
F 9.8628 9.1256 7.8645

=====

| no. | final energy (Ry/atom) | calculated formation energy (kJ/mol of atoms) |
| --- | --- | --- |
| 1 | -1.590 | -373.0 |
| 2 | -1.590 | -373.1 |
| 3 | -1.513 | -307.1 |
| 4 | -1.411 | -358.9 |
| 5 | -0.913 | -308.4 |
| 6 | -1.020 | -284.0 |